First-principles (PBE) data for Na6Mg4Ti4Si3S9O48 after structural relaxation, as listed in Materials Project.

CIF file:
```
data_Na6Mg4Ti4Si3S9O48
_symmetry_space_group_name_H-M 'P 1'
_symmetry_Int_Tables_number 1
_cell_length_a 8.715
_cell_length_b 15.201
_cell_length_c 22.447
_cell_angle_alpha 89.87
_cell_angle_beta 89.94
_cell_angle_gamma 89.87
loop_
_symmetry_equiv_pos_as_xyz
'x,y,z'
loop_
_atom_site_label
_atom_site_fract_x
_atom_site_fract_y
_atom_site_fract_z
_atom_site_occupancy
Na1 0.000 0.000 0.000 1
Na2 0.001 0.332 0.169 1
Na3 0.003 0.683 0.838 1
Na4 0.013 0.006 0.508 1
Na5 0.021 0.320 0.671 1
Na6 0.132 0.499 0.250 1
Na7 0.374 0.998 0.750 1
Na8 0.489 0.822 0.169 1
Na9 0.496 0.506 0.003 1
Na10 0.500 0.833 0.676 1
Na11 0.506 0.498 0.506 1
Na12 0.510 0.177 0.345 1
Na13 0.521 0.162 0.842 1
Na14 0.640 0.000 0.257 1
Na15 0.652 0.326 0.918 1
Na16 0.863 0.828 0.421 1
Na17 0.871 0.499 0.757 1
Na18 0.989 0.665 0.344 1
Mg1 0.003 0.661 0.488 1
Mg2 0.006 0.325 0.821 1
Mg3 0.007 0.675 0.693 1
Mg4 0.008 0.003 0.359 1
Mg5 0.010 0.665 0.186 1
Mg6 0.498 0.164 0.687 1
Mg7 0.501 0.503 0.858 1
Mg8 0.503 0.827 0.321 1
Mg9 0.504 0.169 0.190 1
Mg10 0.507 0.160 0.987 1
Mg11 0.509 0.827 0.818 1
Mg12 0.997 0.326 0.322 1
Ti1 0.008 0.328 0.022 1
Ti2 0.011 0.993 0.150 1
Ti3 0.017 0.675 0.990 1
Ti4 0.026 0.995 0.653 1
Ti5 0.493 0.501 0.149 1
Ti6 0.494 0.175 0.492 1
Ti7 0.498 0.493 0.651 1
Ti8 0.501 0.828 0.525 1
Ti9 0.505 0.835 0.022 1
Ti10 0.520 0.498 0.369 1
Ti11 0.990 0.989 0.865 1
Ti12 0.998 0.332 0.525 1
Si1 0.138 0.517 0.091 1
Si2 0.152 0.850 0.759 1
Si3 0.160 0.810 0.092 1
Si4 0.350 0.311 0.593 1
Si5 0.365 0.018 0.590 1
Si6 0.655 0.689 0.421 1
Si7 0.715 0.324 0.421 1
Si8 0.792 0.824 0.921 1
Si9 0.857 0.184 0.919 1
S1 0.149 0.144 0.757 1
S2 0.149 0.186 0.422 1
S3 0.150 0.477 0.420 1
S4 0.212 0.165 0.090 1
S5 0.213 0.497 0.755 1
S6 0.213 0.833 0.422 1
S7 0.296 0.999 0.255 1
S8 0.297 0.333 0.922 1
S9 0.297 0.664 0.589 1
S10 0.359 0.978 0.921 1
S11 0.360 0.686 0.922 1
S12 0.362 0.642 0.257 1
S13 0.363 0.354 0.256 1
S14 0.647 0.641 0.753 1
S15 0.648 0.352 0.756 1
S16 0.648 0.979 0.421 1
S17 0.651 0.313 0.089 1
S18 0.652 0.018 0.092 1
S19 0.712 0.666 0.090 1
S20 0.720 0.002 0.755 1
S21 0.791 0.499 0.256 1
S22 0.796 0.165 0.589 1
S23 0.857 0.813 0.588 1
S24 0.858 0.518 0.592 1
S25 0.861 0.144 0.254 1
S26 0.861 0.480 0.921 1
S27 0.861 0.852 0.256 1
O1 0.069 0.757 0.755 1
O2 0.075 0.549 0.154 1
O3 0.075 0.769 0.033 1
O4 0.077 0.099 0.419 1
O5 0.078 0.908 0.815 1
O6 0.079 0.418 0.076 1
O7 0.079 0.911 0.100 1
O8 0.080 0.232 0.758 1
O9 0.085 0.232 0.476 1
O10 0.086 0.101 0.701 1
O11 0.086 0.565 0.428 1
O12 0.089 0.438 0.364 1
O13 0.109 0.086 0.098 1
O14 0.109 0.911 0.419 1
O15 0.111 0.244 0.084 1
O16 0.111 0.574 0.748 1
O17 0.112 0.090 0.809 1
O18 0.112 0.585 0.035 1
O19 0.112 0.916 0.699 1
O20 0.116 0.753 0.429 1
O21 0.117 0.417 0.758 1
O22 0.119 0.420 0.473 1
O23 0.127 0.238 0.367 1
O24 0.137 0.755 0.151 1
O25 0.170 0.328 0.576 1
O26 0.173 0.010 0.594 1
O27 0.189 0.984 0.920 1
O28 0.190 0.675 0.930 1
O29 0.192 0.349 0.259 1
O30 0.192 0.648 0.254 1
O31 0.197 0.990 0.201 1
O32 0.199 0.346 0.976 1
O33 0.202 0.010 0.309 1
O34 0.203 0.676 0.643 1
O35 0.205 0.325 0.868 1
O36 0.207 0.650 0.535 1
O37 0.304 0.150 0.037 1
O38 0.304 0.824 0.368 1
O39 0.305 0.177 0.144 1
O40 0.307 0.509 0.809 1
O41 0.311 0.845 0.476 1
O42 0.314 0.487 0.701 1
O43 0.319 0.149 0.753 1
O44 0.319 0.176 0.429 1
O45 0.322 0.483 0.416 1
O46 0.334 0.508 0.099 1
O47 0.337 0.851 0.759 1
O48 0.340 0.828 0.077 1
O49 0.372 0.255 0.651 1
O50 0.383 0.737 0.868 1
O51 0.393 0.254 0.930 1
O52 0.393 0.920 0.975 1
O53 0.394 0.411 0.202 1
O54 0.395 0.920 0.258 1
O55 0.397 0.077 0.249 1
O56 0.397 0.744 0.584 1
O57 0.398 0.586 0.309 1
O58 0.399 0.085 0.534 1
O59 0.401 0.411 0.920 1
O60 0.402 0.586 0.596 1
O61 0.423 0.597 0.201 1
O62 0.423 0.731 0.976 1
O63 0.423 0.939 0.867 1
O64 0.425 0.065 0.931 1
O65 0.426 0.397 0.309 1
O66 0.429 0.919 0.573 1
O67 0.431 0.267 0.249 1
O68 0.431 0.412 0.599 1
O69 0.432 0.598 0.920 1
O70 0.433 0.729 0.258 1
O71 0.434 0.048 0.653 1
O72 0.435 0.270 0.532 1
O73 0.568 0.590 0.415 1
O74 0.572 0.736 0.480 1
O75 0.576 0.728 0.755 1
O76 0.581 0.278 0.035 1
O77 0.581 0.594 0.701 1
O78 0.582 0.067 0.430 1
O79 0.584 0.264 0.750 1
O80 0.584 0.404 0.099 1
O81 0.586 0.928 0.086 1
O82 0.586 0.943 0.364 1
O83 0.588 0.056 0.148 1
O84 0.589 0.393 0.811 1
O85 0.602 0.240 0.433 1
O86 0.604 0.415 0.416 1
O87 0.606 0.742 0.082 1
O88 0.607 0.411 0.704 1
O89 0.612 0.584 0.096 1
O90 0.617 0.918 0.472 1
O91 0.621 0.081 0.753 1
O92 0.621 0.587 0.808 1
O93 0.623 0.922 0.758 1
O94 0.624 0.072 0.040 1
O95 0.624 0.259 0.142 1
O96 0.635 0.751 0.364 1
O97 0.675 0.175 0.932 1
O98 0.681 0.841 0.981 1
O99 0.686 0.507 0.598 1
O100 0.686 0.824 0.581 1
O101 0.689 0.483 0.919 1
O102 0.690 0.852 0.255 1
O103 0.691 0.152 0.248 1
O104 0.692 0.490 0.203 1
O105 0.693 0.505 0.311 1
O106 0.694 0.810 0.863 1
O107 0.699 0.154 0.535 1
O108 0.708 0.183 0.642 1
O109 0.801 0.680 0.144 1
O110 0.807 0.650 0.037 1
O111 0.808 0.311 0.361 1
O112 0.813 0.011 0.811 1
O113 0.816 0.646 0.746 1
O114 0.819 0.352 0.756 1
O115 0.819 0.995 0.702 1
O116 0.820 0.983 0.418 1
O117 0.821 0.324 0.083 1
O118 0.824 0.008 0.098 1
O119 0.825 0.343 0.480 1
O120 0.836 0.675 0.431 1
O121 0.873 0.253 0.866 1
O122 0.883 0.758 0.640 1
O123 0.885 0.572 0.539 1
O124 0.885 0.580 0.255 1
O125 0.886 0.090 0.307 1
O126 0.894 0.086 0.593 1
O127 0.894 0.419 0.973 1
O128 0.894 0.421 0.259 1
O129 0.901 0.914 0.919 1
O130 0.902 0.244 0.580 1
O131 0.902 0.911 0.204 1
O132 0.904 0.739 0.934 1
O133 0.920 0.894 0.311 1
O134 0.921 0.904 0.596 1
O135 0.922 0.556 0.647 1
O136 0.923 0.097 0.200 1
O137 0.924 0.443 0.865 1
O138 0.925 0.428 0.585 1
O139 0.925 0.764 0.250 1
O140 0.925 0.777 0.533 1
O141 0.927 0.567 0.931 1
O142 0.936 0.230 0.256 1
O143 0.938 0.237 0.979 1
O144 0.945 0.089 0.914 1
```

## Properties
ΔH_f (0 K): -2.520 eV/atom
total magnetic moment: 0.0 μB per formula unit
final energy: -6.63 eV per atom

=====

First-principles (PBE) data for Na7Y3MgSi3S3O24 after structural relaxation, as listed in Materials Project.

CIF file:
```
data_Na7Y3MgSi3S3O24
_symmetry_space_group_name_H-M 'P 1'
_symmetry_Int_Tables_number 1
_cell_length_a 9.347
_cell_length_b 9.396
_cell_length_c 23.244
_cell_angle_alpha 90.10
_cell_angle_beta 90.12
_cell_angle_gamma 119.69
loop_
_symmetry_equiv_pos_as_xyz
'x,y,z'
loop_
_atom_site_label
_atom_site_fract_x
_atom_site_fract_y
_atom_site_fract_z
_atom_site_occupancy
Na1 0.000 0.000 0.000 1
Na2 0.001 0.642 0.480 1
Na3 0.257 0.658 0.989 1
Na4 0.281 0.968 0.082 1
Na5 0.299 0.315 0.495 1
Na6 0.301 0.630 0.334 1
Na7 0.316 0.317 0.161 1
Na8 0.322 0.007 0.569 1
Na9 0.332 0.379 0.819 1
Na10 0.339 0.672 0.658 1
Na11 0.593 0.325 0.655 1
Na12 0.603 0.946 0.166 1
Na13 0.617 0.636 0.748 1
Na14 0.646 0.982 0.827 1
Na15 0.655 0.671 0.245 1
Na16 0.685 0.384 0.338 1
Na17 0.931 0.613 0.839 1
Na18 0.938 0.966 0.319 1
Na19 0.955 0.348 0.907 1
Na20 0.965 0.343 0.414 1
Na21 0.996 0.712 0.160 1
Y1 0.310 0.998 0.727 1
Y2 0.312 0.988 0.923 1
Y3 0.313 0.978 0.427 1
Y4 0.628 0.649 0.588 1
Y5 0.651 0.661 0.092 1
Y6 0.976 0.336 0.059 1
Y7 0.978 0.320 0.554 1
Y8 0.983 0.332 0.256 1
Y9 0.984 0.330 0.759 1
Mg1 0.275 0.963 0.223 1
Mg2 0.639 0.637 0.890 1
Mg3 0.642 0.648 0.399 1
Si1 0.278 0.320 0.658 1
Si2 0.281 0.633 0.159 1
Si3 0.315 0.688 0.826 1
Si4 0.343 0.654 0.488 1
Si5 0.610 0.296 0.824 1
Si6 0.639 0.358 0.489 1
Si7 0.939 0.658 0.988 1
Si8 0.978 0.026 0.158 1
Si9 0.996 0.689 0.324 1
S1 0.001 0.985 0.827 1
S2 0.310 0.283 0.323 1
S3 0.343 0.361 0.990 1
S4 0.602 0.989 0.321 1
S5 0.642 0.949 0.989 1
S6 0.666 0.315 0.160 1
S7 0.675 0.024 0.660 1
S8 0.931 0.948 0.488 1
S9 0.974 0.622 0.658 1
O1 0.083 0.959 0.777 1
O2 0.084 0.800 0.267 1
O3 0.100 0.968 0.484 1
O4 0.104 0.016 0.879 1
O5 0.115 0.774 0.380 1
O6 0.125 0.828 0.989 1
O7 0.128 0.781 0.663 1
O8 0.150 0.018 0.163 1
O9 0.151 0.503 0.822 1
O10 0.155 0.296 0.320 1
O11 0.160 0.481 0.490 1
O12 0.160 0.546 0.103 1
O13 0.171 0.308 0.601 1
O14 0.176 0.348 0.993 1
O15 0.190 0.340 0.715 1
O16 0.194 0.514 0.215 1
O17 0.276 0.771 0.882 1
O18 0.290 0.185 0.375 1
O19 0.299 0.804 0.489 1
O20 0.305 0.817 0.165 1
O21 0.307 0.161 0.658 1
O22 0.316 0.192 0.986 1
O23 0.329 0.202 0.271 1
O24 0.338 0.799 0.768 1
O25 0.427 0.463 0.940 1
O26 0.435 0.436 0.044 1
O27 0.439 0.640 0.432 1
O28 0.441 0.675 0.549 1
O29 0.454 0.451 0.327 1
O30 0.460 0.640 0.153 1
O31 0.462 0.492 0.658 1
O32 0.463 0.183 0.486 1
O33 0.483 0.676 0.834 1
O34 0.492 0.966 0.987 1
O35 0.499 0.214 0.766 1
O36 0.503 0.169 0.167 1
O37 0.505 0.004 0.661 1
O38 0.505 0.975 0.269 1
O39 0.514 0.170 0.877 1
O40 0.524 0.015 0.372 1
O41 0.616 0.838 0.326 1
O42 0.619 0.442 0.549 1
O43 0.621 0.851 0.042 1
O44 0.630 0.478 0.830 1
O45 0.647 0.462 0.153 1
O46 0.657 0.865 0.938 1
O47 0.658 0.859 0.655 1
O48 0.668 0.472 0.433 1
O49 0.747 0.290 0.109 1
O50 0.759 0.129 0.610 1
O51 0.765 0.101 0.714 1
O52 0.772 0.136 0.318 1
O53 0.772 0.348 0.212 1
O54 0.792 0.308 0.821 1
O55 0.794 0.112 0.994 1
O56 0.806 0.342 0.494 1
O57 0.813 0.675 0.330 1
O58 0.817 0.838 0.155 1
O59 0.828 0.642 0.653 1
O60 0.833 0.651 0.931 1
O61 0.834 0.868 0.436 1
O62 0.836 0.840 0.832 1
O63 0.855 0.850 0.540 1
O64 0.856 0.676 0.047 1
O65 0.941 0.108 0.214 1
O66 0.948 0.519 0.710 1
O67 0.952 0.115 0.492 1
O68 0.969 0.498 0.989 1
O69 0.974 0.502 0.322 1
O70 0.983 0.133 0.819 1
O71 0.991 0.537 0.607 1
O72 0.996 0.135 0.100 1
```

## Properties
ΔH_f (0 K): -2.739 eV/atom
total magnetic moment: 0.0 μB per formula unit
final energy: -6.67 eV per atom